Computed, not measured: an optimized crystal structure of AcAg2Sn at the PBE-GGA level of DFT.

The calculated density is 9.03 g/cm3. Its total energy is -3.810 eV/atom. The calculation puts the formation energy from the elements at -0.3614 eV per atom.

```
data_AcAg2Sn
_chemical_formula_sum 'Ac4 Ag8 Sn4'
_cell_length_a 7.446
_cell_length_b 7.446
_cell_length_c 7.446
_cell_angle_alpha 90.00
_cell_angle_beta 90.00
_cell_angle_gamma 90.00
_space_group_name_H-M_alt 'F m -3 m'
_space_group_IT_number 225
_space_group_name_Hall '-F 4 2 3'
loop_
_atom_site_label
_atom_site_fract_x
_atom_site_fract_y
_atom_site_fract_z
Ac1 0.000 0.000 0.000
Ag1 0.250 0.250 0.250
Sn1 0.000 0.000 0.500
```